Record 1
Compound: Te4MoW3Se2S2
Source: the Materials Project database
Functional: PBE-GGA
Structure: optimized geometry

For the calculated volume, the calculation gives 33.80 Å³/atom. The value obtained for the MP2020-corrected energy is -83.0 eV/cell.

It has space group P3m1 (No. 156), with a = 3.3965 Å, b = 3.3965 Å, c = 40.5987 Å, α = 90.00°, β = 90.00° and γ = 120.00°. The distinct sites, in fractional coordinates, are Te at (0.0000, 0.0000, 0.0000), Te at (0.0000, 0.0000, 0.0923), Te at (0.3333, 0.6667, 0.1899), Te at (0.3333, 0.6667, 0.2827), Mo at (0.3333, 0.6667, 0.0461), W at (0.0000, 0.0000, 0.2363), W at (0.0000, 0.0000, 0.8595), W at (0.3333, 0.6667, 0.4237), Se at (0.0000, 0.0000, 0.3829), Se at (0.0000, 0.0000, 0.4645), S at (0.3333, 0.6667, 0.8224) and S at (0.3333, 0.6667, 0.8965).

Record 2
Compound: Na2U2SiO8F2
Source: the Materials Project database
Functional: PBE-GGA
Structure: optimized geometry

For the calculated volume, the calculation gives 15.29 Å³/atom. The value obtained for the MP2020-corrected energy is -499.3 eV/cell.

It has space group I4_1/amd (No. 141, origin choice 2), with a = 7.028 Å, b = 7.028 Å, c = 18.577 Å, α = 90.00°, β = 90.00° and γ = 90.00°. The distinct sites, in fractional coordinates, are Na at (0.000, 0.000, 0.000), U at (0.000, 0.250, 0.201), Si at (0.000, 0.250, 0.375), O at (0.000, 0.012, 0.798), O at (0.000, 0.073, 0.433) and F at (0.000, 0.250, 0.082).

Record 3
Compound: Cr4Te3S
Source: the Materials Project database
Functional: PBE-GGA
Structure: optimized geometry

For the calculated volume, the calculation gives 21.76 Å³/atom. The value obtained for the MP2020-corrected energy is -106.8 eV/cell.

It has space group Imm2 (No. 44), with a = 4.003 Å, b = 12.676 Å, c = 6.862 Å, α = 90.00°, β = 90.00° and γ = 90.00°. The distinct sites, in fractional coordinates, are Cr at (0.000, 0.116, 0.000), Cr at (0.000, 0.378, 0.054), Te at (0.000, 0.000, 0.365), Te at (0.000, 0.261, 0.693) and S at (0.000, 0.500, 0.353).

Record 4
Compound: BaPr2PdO5
Source: the Materials Project database
Functional: PBE-GGA
Structure: optimized geometry

For the calculated volume, the calculation gives 15.70 Å³/atom. The value obtained for the MP2020-corrected energy is -135.9 eV/cell.

It has space group P4/mbm (No. 127), with a = 6.865 Å, b = 6.865 Å, c = 5.997 Å, α = 90.00°, β = 90.00° and γ = 90.00°. The distinct sites, in fractional coordinates, are Ba at (0.000, 0.000, 0.000), Pr at (0.174, 0.326, 0.500), Pd at (0.000, 0.500, 0.000), O at (0.000, 0.000, 0.500) and O at (0.140, 0.640, 0.250).

Record 5
Compound: HoBi
Source: the Materials Project database
Functional: PBE-GGA
Structure: optimized geometry

For the calculated volume, the calculation gives 29.27 Å³/atom.

It has space group Pm-3m (No. 221), with a = 3.883 Å, b = 3.883 Å, c = 3.883 Å, α = 90.00°, β = 90.00° and γ = 90.00°. The distinct sites, in fractional coordinates, are Ho at (0.000, 0.000, 0.000) and Bi at (0.500, 0.500, 0.500).

Record 6
Compound: Ga3Pt2
Source: the Materials Project database
Functional: PBE-GGA
Structure: optimized geometry

For the calculated volume, the calculation gives 17.00 Å³/atom.

It has space group P-3m1 (No. 164), with a = 4.2906 Å, b = 4.2906 Å, c = 5.3311 Å, α = 90.00°, β = 90.00° and γ = 120.00°. The distinct sites, in fractional coordinates, are Ga at (0.0000, 0.0000, 0.0000), Ga at (0.3333, 0.6667, 0.6436) and Pt at (0.3333, 0.6667, 0.1657).

Record 7
Compound: TmPu3
Source: the Materials Project database
Functional: PBE-GGA
Structure: optimized geometry

For the calculated volume, the calculation gives 28.20 Å³/atom.

It has space group P6_3/mmc (No. 194), with a = 6.8549 Å, b = 6.8549 Å, c = 5.5445 Å, α = 90.00°, β = 90.00° and γ = 120.00°. The distinct sites, in fractional coordinates, are Tm at (0.3333, 0.6667, 0.2500) and Pu at (0.1641, 0.3282, 0.7500).

Q: Which formation enthalpy at 0 K values were calculated for the entries above? A: -5.5; -50.8; -1.2; -26.6; -1.1; -3.0; 0.7, in eV per formula unit.
Q: Which total energy values were calculated for the entries above? A: -6.84; -7.89; -6.61; -7.17; -4.79; -4.84; -11.64, in eV/atom.